[1]
Compound: Cs2Te10Mo9
Source: the Materials Project
Functional: GGA-PBE
Structure: relaxed

Total magnetic moment (Bohr magnetons per cell): 0.12
Formation energy (eV per atom): -0.44

The structure in CIF format:
```
data_Cs2Te10Mo9
_chemical_formula_sum 'Cs4 Te20 Mo18'
_space_group_name_H-M_alt 'P 1'
_space_group_IT_number 1
_space_group_name_Hall 'P 1'
_cell_length_a 14.545
_cell_length_b 14.545
_cell_length_c 14.545
_cell_angle_alpha 42.11
_cell_angle_beta 42.11
_cell_angle_gamma 42.11
loop_
_atom_site_label
_atom_site_type_symbol
_atom_site_fract_x
_atom_site_fract_y
_atom_site_fract_z
_atom_site_occupancy
Te1 Te 0.945 0.587 0.203 1
Te2 Te 0.563 0.822 0.185 1
Mo1 Mo 0.699 0.991 0.872 1
Cs1 Cs 0.576 0.576 0.576 1
Te3 Te 0.822 0.185 0.563 1
Cs2 Cs 0.301 0.301 0.301 1
Te4 Te 0.587 0.203 0.945 1
Te5 Te 0.055 0.413 0.797 1
Mo2 Mo 0.771 0.898 0.068 1
Mo3 Mo 0.301 0.009 0.128 1
Te6 Te 0.797 0.055 0.413 1
Mo4 Mo 0.009 0.128 0.301 1
Mo5 Mo 0.815 0.108 0.988 1
Te7 Te 0.797 0.797 0.797 1
Mo6 Mo 0.229 0.102 0.932 1
Mo7 Mo 0.988 0.815 0.108 1
Cs3 Cs 0.424 0.424 0.424 1
Mo8 Mo 0.012 0.185 0.892 1
Mo9 Mo 0.872 0.699 0.991 1
Te8 Te 0.698 0.320 0.068 1
Mo10 Mo 0.932 0.229 0.102 1
Mo11 Mo 0.898 0.068 0.771 1
Te9 Te 0.680 0.932 0.302 1
Te10 Te 0.932 0.302 0.680 1
Te11 Te 0.203 0.945 0.587 1
Mo12 Mo 0.108 0.988 0.815 1
Mo13 Mo 0.128 0.301 0.009 1
Te12 Te 0.413 0.797 0.055 1
Te13 Te 0.203 0.203 0.203 1
Te14 Te 0.437 0.178 0.815 1
Te15 Te 0.320 0.068 0.698 1
Mo14 Mo 0.892 0.012 0.185 1
Mo15 Mo 0.068 0.771 0.898 1
Te16 Te 0.815 0.437 0.178 1
Te17 Te 0.068 0.698 0.320 1
Mo16 Mo 0.185 0.892 0.012 1
Cs4 Cs 0.699 0.699 0.699 1
Mo17 Mo 0.991 0.872 0.699 1
Te18 Te 0.178 0.815 0.437 1
Te19 Te 0.185 0.563 0.822 1
Te20 Te 0.302 0.680 0.932 1
Mo18 Mo 0.102 0.932 0.229 1
```

[2]
Compound: LiTm2Cl2O2
Source: the Materials Project
Functional: GGA-PBE
Structure: relaxed

Total magnetic moment (Bohr magnetons per cell): 0.79
Formation energy (eV per atom): -2.72

The structure in CIF format:
```
data_LiTm2Cl2O2
_chemical_formula_sum 'Li1 Tm2 Cl2 O2'
_space_group_name_H-M_alt 'P 1'
_space_group_IT_number 1
_space_group_name_Hall 'P 1'
_cell_length_a 3.872
_cell_length_b 3.872
_cell_length_c 8.593
_cell_angle_alpha 90.00
_cell_angle_beta 90.00
_cell_angle_gamma 90.00
loop_
_atom_site_label
_atom_site_type_symbol
_atom_site_fract_x
_atom_site_fract_y
_atom_site_fract_z
_atom_site_occupancy
O1 O 0.500 0.500 0.000 1
Tm1 Tm 0.000 0.500 0.122 1
O2 O 0.000 0.000 0.000 1
Tm2 Tm 0.500 0.000 0.878 1
Cl1 Cl 0.500 0.000 0.315 1
Li1 Li 0.000 0.000 0.500 1
Cl2 Cl 0.000 0.500 0.685 1
```

[3]
Compound: TeMo2S3
Source: the Materials Project
Functional: GGA-PBE
Structure: relaxed

Total magnetic moment (Bohr magnetons per cell): 0.00
Formation energy (eV per atom): -0.92

The structure in CIF format:
```
data_TeMo2S3
_chemical_formula_sum 'Te1 Mo2 S3'
_space_group_name_H-M_alt 'P 1'
_space_group_IT_number 1
_space_group_name_Hall 'P 1'
_cell_length_a 3.278
_cell_length_b 3.278
_cell_length_c 13.679
_cell_angle_alpha 90.00
_cell_angle_beta 90.00
_cell_angle_gamma 60.00
loop_
_atom_site_label
_atom_site_type_symbol
_atom_site_fract_x
_atom_site_fract_y
_atom_site_fract_z
_atom_site_occupancy
S1 S 0.667 0.667 0.636 1
S2 S 0.667 0.667 0.861 1
Mo1 Mo 0.333 0.333 0.749 1
Mo2 Mo 0.667 0.667 0.262 1
Te1 Te 0.333 0.333 0.119 1
S3 S 0.333 0.333 0.373 1
```

[4]
Compound: Tb2Ni3B6
Source: the Materials Project
Functional: GGA-PBE
Structure: relaxed

Total magnetic moment (Bohr magnetons per cell): 0.05
Formation energy (eV per atom): -0.56

The structure in CIF format:
```
data_Tb2Ni3B6
_chemical_formula_sum 'Tb2 Ni3 B6'
_space_group_name_H-M_alt 'P 1'
_space_group_IT_number 1
_space_group_name_Hall 'P 1'
_cell_length_a 3.489
_cell_length_b 5.811
_cell_length_c 5.811
_cell_angle_alpha 96.63
_cell_angle_beta 90.00
_cell_angle_gamma 90.00
loop_
_atom_site_label
_atom_site_type_symbol
_atom_site_fract_x
_atom_site_fract_y
_atom_site_fract_z
_atom_site_occupancy
Ni1 Ni 0.000 0.227 0.227 1
Ni2 Ni 0.500 0.000 0.000 1
Ni3 Ni 0.000 0.773 0.773 1
B1 B 0.500 0.387 0.387 1
B2 B 0.500 0.086 0.385 1
B3 B 0.500 0.615 0.914 1
B4 B 0.500 0.385 0.086 1
B5 B 0.500 0.914 0.615 1
Tb1 Tb 0.000 0.725 0.275 1
B6 B 0.500 0.613 0.613 1
Tb2 Tb 0.000 0.275 0.725 1
```

[5]
Compound: CeZn2Au4
Source: the Materials Project
Functional: GGA-PBE
Structure: relaxed

Formation energy (eV per atom): -0.49

The structure in CIF format:
```
data_CeZn2Au4
_chemical_formula_sum 'Ce1 Zn2 Au4'
_space_group_name_H-M_alt 'P 1'
_space_group_IT_number 1
_space_group_name_Hall 'P 1'
_cell_length_a 5.684
_cell_length_b 5.684
_cell_length_c 5.684
_cell_angle_alpha 103.00
_cell_angle_beta 103.00
_cell_angle_gamma 123.38
loop_
_atom_site_label
_atom_site_type_symbol
_atom_site_fract_x
_atom_site_fract_y
_atom_site_fract_z
_atom_site_occupancy
Au1 Au 0.302 0.302 0.604 1
Au2 Au 0.698 0.302 0.000 1
Zn1 Zn 0.750 0.250 0.500 1
Au3 Au 0.698 0.698 0.396 1
Au4 Au 0.302 0.698 0.000 1
Ce1 Ce 0.000 0.000 0.000 1
Zn2 Zn 0.250 0.750 0.500 1
```

[6]
Compound: Er3P4Pd7
Source: the Materials Project
Functional: GGA-PBE
Structure: relaxed

Formation energy (eV per atom): -0.99

The structure in CIF format:
```
data_Er3P4Pd7
_chemical_formula_sum 'Er3 P4 Pd7'
_space_group_name_H-M_alt 'P 1'
_space_group_IT_number 1
_space_group_name_Hall 'P 1'
_cell_length_a 7.923
_cell_length_b 7.923
_cell_length_c 9.375
_cell_angle_alpha 55.89
_cell_angle_beta 55.89
_cell_angle_gamma 29.18
loop_
_atom_site_label
_atom_site_type_symbol
_atom_site_fract_x
_atom_site_fract_y
_atom_site_fract_z
_atom_site_occupancy
Pd1 Pd 0.500 0.500 0.000 1
Pd2 Pd 0.805 0.805 0.530 1
Er1 Er 0.500 0.500 0.500 1
Pd3 Pd 0.332 0.332 0.921 1
Er2 Er 0.820 0.820 0.177 1
Er3 Er 0.180 0.180 0.823 1
Pd4 Pd 0.990 0.990 0.784 1
P1 P 0.606 0.606 0.680 1
P2 P 0.159 0.159 0.247 1
P3 P 0.841 0.841 0.753 1
P4 P 0.394 0.394 0.320 1
Pd5 Pd 0.668 0.668 0.079 1
Pd6 Pd 0.195 0.195 0.470 1
Pd7 Pd 0.010 0.010 0.216 1
```

[7]
Compound: Mg7Si4
Source: the Materials Project
Functional: GGA-PBE
Structure: relaxed

Total magnetic moment (Bohr magnetons per cell): 0.00
Formation energy (eV per atom): 0.14

The structure in CIF format:
```
data_Mg7Si4
_chemical_formula_sum 'Mg14 Si8'
_space_group_name_H-M_alt 'P 1'
_space_group_IT_number 1
_space_group_name_Hall 'P 1'
_cell_length_a 6.045
_cell_length_b 5.144
_cell_length_c 14.601
_cell_angle_alpha 94.56
_cell_angle_beta 102.05
_cell_angle_gamma 80.50
loop_
_atom_site_label
_atom_site_type_symbol
_atom_site_fract_x
_atom_site_fract_y
_atom_site_fract_z
_atom_site_occupancy
Si1 Si 0.131 0.224 0.595 1
Mg1 Mg 0.560 0.774 0.323 1
Mg2 Mg 0.469 0.722 0.542 1
Mg3 Mg 0.932 0.624 0.705 1
Mg4 Mg 0.600 0.448 0.084 1
Si2 Si 0.348 0.937 0.138 1
Mg5 Mg 0.231 0.231 0.423 1
Si3 Si 0.033 0.049 0.817 1
Mg6 Mg 0.057 0.734 0.302 1
Mg7 Mg 0.695 0.173 0.648 1
Mg8 Mg 0.721 0.436 0.880 1
Si4 Si 0.401 0.294 0.268 1
Mg9 Mg 0.965 0.742 0.511 1
Mg10 Mg 0.220 0.508 0.891 1
Mg11 Mg 0.963 0.966 0.992 1
Mg12 Mg 0.107 0.483 0.105 1
Mg13 Mg 0.731 0.266 0.443 1
Si5 Si 0.431 0.607 0.724 1
Si6 Si 0.821 0.283 0.266 1
Si7 Si 0.758 0.927 0.138 1
Mg14 Mg 0.455 0.973 0.955 1
Si8 Si 0.370 0.099 0.753 1
```

[8]
Compound: KMg2As2H31O23
Source: the Materials Project
Functional: GGA-PBE
Structure: relaxed

Total magnetic moment (Bohr magnetons per cell): 2.00
Formation energy (eV per atom): -1.11

The structure in CIF format:
```
data_KMg2As2H31O23
_chemical_formula_sum 'K2 Mg4 As4 H62 O46'
_space_group_name_H-M_alt 'P 1'
_space_group_IT_number 1
_space_group_name_Hall 'P 1'
_cell_length_a 8.372
_cell_length_b 8.500
_cell_length_c 15.896
_cell_angle_alpha 94.72
_cell_angle_beta 89.89
_cell_angle_gamma 91.75
loop_
_atom_site_label
_atom_site_type_symbol
_atom_site_fract_x
_atom_site_fract_y
_atom_site_fract_z
_atom_site_occupancy
H1 H 0.138 0.927 0.352 1
H2 H 0.766 0.357 0.080 1
O1 O 0.294 0.590 0.966 1
H3 H 0.978 0.449 0.400 1
O2 O 0.219 0.265 0.993 1
H4 H 0.007 0.288 0.663 1
H5 H 0.993 0.712 0.337 1
O3 O 0.455 0.033 0.713 1
H6 H 0.612 0.997 0.110 1
O4 O 0.586 0.283 0.000 1
O5 O 0.706 0.707 0.727 1
H7 H 0.843 0.957 0.195 1
O6 O 0.980 0.823 0.323 1
H8 H 0.388 0.003 0.890 1
Mg1 Mg 0.500 0.500 0.500 1
H9 H 0.769 0.315 0.758 1
O7 O 0.322 0.273 0.619 1
H10 H 0.862 0.073 0.648 1
O8 O 0.467 0.980 0.537 1
O9 O 0.368 0.343 0.429 1
H11 H 0.310 0.314 0.338 1
H12 H 0.727 0.610 0.290 1
O10 O 0.345 0.461 0.117 1
O11 O 0.111 0.717 0.540 1
O12 O 0.370 0.676 0.458 1
As1 As 0.198 0.106 0.613 1
O13 O 0.715 0.889 0.993 1
H13 H 0.260 0.332 0.044 1
O14 O 0.706 0.410 0.034 1
H14 H 0.300 0.178 0.262 1
As2 As 0.866 0.959 0.914 1
As3 As 0.802 0.894 0.387 1
O15 O 0.969 0.448 0.606 1
H15 H 0.257 0.537 0.124 1
H16 H 0.145 0.652 0.809 1
O16 O 0.889 0.283 0.460 1
O17 O 0.545 0.967 0.287 1
H17 H 0.700 0.822 0.738 1
O18 O 0.748 0.530 0.242 1
H18 H 0.743 0.463 0.876 1
H19 H 0.250 0.075 0.393 1
O19 O 0.678 0.727 0.381 1
H20 H 0.689 0.187 0.947 1
O20 O 0.252 0.470 0.758 1
O21 O 0.020 0.177 0.677 1
K1 K 0.391 0.723 0.686 1
H21 H 0.223 0.578 0.371 1
O22 O 0.533 0.020 0.463 1
H22 H 0.678 0.721 0.528 1
O23 O 0.596 0.106 0.131 1
O24 O 0.005 0.427 0.893 1
O25 O 0.630 0.324 0.542 1
O26 O 0.074 0.101 0.837 1
H23 H 0.157 0.043 0.805 1
Mg2 Mg 0.547 0.160 0.622 1
As4 As 0.134 0.041 0.086 1
O27 O 0.285 0.111 0.007 1
O28 O 0.776 0.139 0.904 1
H24 H 0.570 0.161 0.080 1
H25 H 0.044 0.805 0.684 1
O29 O 0.294 0.293 0.273 1
O30 O 0.781 0.735 0.007 1
H26 H 0.855 0.348 0.191 1
H27 H 0.219 0.711 0.508 1
H28 H 0.740 0.668 0.956 1
H29 H 0.758 0.254 0.790 1
O31 O 0.995 0.573 0.107 1
H30 H 0.311 0.813 0.053 1
O32 O 0.250 0.972 0.362 1
H31 H 0.956 0.195 0.316 1
H32 H 0.781 0.289 0.492 1
H33 H 0.430 0.839 0.920 1
O33 O 0.750 0.028 0.638 1
H34 H 0.273 0.390 0.710 1
O34 O 0.031 0.552 0.394 1
O35 O 0.404 0.894 0.869 1
H35 H 0.188 0.414 0.799 1
O36 O 0.655 0.539 0.883 1
O37 O 0.414 0.717 0.000 1
O38 O 0.717 0.992 0.293 1
H36 H 0.033 0.521 0.930 1
H37 H 0.349 0.410 0.171 1
H38 H 0.950 0.661 0.079 1
H39 H 0.768 0.191 0.146 1
H40 H 0.038 0.608 0.452 1
H41 H 0.967 0.479 0.070 1
H42 H 0.072 0.825 0.535 1
H43 H 0.234 0.643 0.920 1
O39 O 0.632 0.657 0.571 1
H44 H 0.242 0.746 0.210 1
O40 O 0.224 0.861 0.096 1
H45 H 0.322 0.279 0.472 1
H46 H 0.690 0.686 0.662 1
Mg3 Mg 0.453 0.840 0.378 1
O41 O 0.336 0.622 0.367 1
H47 H 0.777 0.422 0.629 1
H48 H 0.232 0.809 0.854 1
H49 H 0.928 0.175 0.465 1
H50 H 0.962 0.392 0.548 1
O42 O 0.139 0.730 0.858 1
O43 O 0.664 0.378 0.633 1
O44 O 0.926 0.899 0.163 1
H51 H 0.750 0.925 0.607 1
H52 H 0.985 0.786 0.717 1
H53 H 0.812 0.586 0.201 1
O45 O 0.861 0.270 0.142 1
H54 H 0.981 0.849 0.208 1
H55 H 0.019 0.151 0.792 1
H56 H 0.000 0.000 0.500 1
H57 H 0.022 0.551 0.600 1
H58 H 0.651 0.590 0.829 1
O46 O 0.283 0.008 0.707 1
H59 H 0.015 0.214 0.283 1
H60 H 0.231 0.685 0.242 1
H61 H 0.000 0.000 0.000 1
K2 K 0.609 0.277 0.314 1
H62 H 0.050 0.339 0.921 1
Mg4 Mg 0.500 0.500 0.000 1
```